<A>
A relaxed structure of CdIn2Se4. Source: Materials Project, functional GGA-PBE.

Structure (POSCAR):
```
CdIn2Se4
1.0
5.912 0.000 0.000
0.000 5.912 0.000
0.000 0.000 6.079
Cd In Se
1 2 4
direct
0.000 0.000 0.000 Cd
0.000 0.500 0.500 In
0.500 0.000 0.500 In
0.273 0.273 0.234 Se
0.273 0.727 0.766 Se
0.727 0.273 0.766 Se
0.727 0.727 0.234 Se
```

- Maximum piezoelectric response: 0.166 C/m2

***

<B>
A relaxed structure of CdIn2Se4. Source: Materials Project, functional GGA-PBE.

Structure (POSCAR):
```
CdIn2Se4
1.0
-2.882 2.882 5.562
2.882 -2.882 5.562
2.882 2.882 -5.562
Cd In Se
1 2 4
direct
0.000 0.000 0.000 Cd
0.500 0.500 0.000 In
0.750 0.250 0.500 In
0.259 0.259 0.000 Se
0.510 0.010 0.500 Se
0.741 0.741 0.000 Se
0.990 0.490 0.500 Se
```

***

<C>
A relaxed structure of CdIn2Se4. Source: Materials Project, functional GGA-PBE.

Structure (POSCAR):
```
CdIn2Se4
1.0
0.000 5.788 5.788
5.788 0.000 5.788
5.788 5.788 0.000
Cd In Se
2 4 8
direct
0.125 0.125 0.125 Cd
0.875 0.875 0.875 Cd
0.000 0.500 0.500 In
0.500 0.000 0.500 In
0.500 0.500 0.000 In
0.500 0.500 0.500 In
0.260 0.260 0.260 Se
0.260 0.260 0.721 Se
0.260 0.721 0.260 Se
0.279 0.740 0.740 Se
0.721 0.260 0.260 Se
0.740 0.279 0.740 Se
0.740 0.740 0.279 Se
0.740 0.740 0.740 Se
```

***

Result of the stability comparison: <A> is the most stable of them.

***

<A>
A relaxed structure of KMg14Cd. Source: Materials Project, functional GGA-PBE.

Structure (POSCAR):
```
KMg14Cd
1.0
10.570 0.000 0.000
0.000 3.257 5.650
0.000 -3.257 5.650
K Mg Cd
1 14 1
direct
0.000 0.000 0.000 K
0.000 0.008 0.495 Mg
0.000 0.495 0.008 Mg
0.245 0.666 0.666 Mg
0.261 0.173 0.657 Mg
0.261 0.657 0.173 Mg
0.263 0.172 0.172 Mg
0.500 0.000 0.000 Mg
0.500 0.000 0.501 Mg
0.500 0.500 0.500 Mg
0.500 0.501 0.000 Mg
0.737 0.172 0.172 Mg
0.739 0.173 0.657 Mg
0.739 0.657 0.173 Mg
0.755 0.666 0.666 Mg
0.000 0.496 0.496 Cd
```

***

<B>
A relaxed structure of KMg14Cd. Source: Materials Project, functional GGA-PBE.

Structure (POSCAR):
```
KMg14Cd
1.0
6.532 0.000 0.000
-3.266 5.657 0.000
0.000 0.000 10.567
K Mg Cd
1 14 1
direct
0.000 0.000 0.000 K
0.007 0.504 0.000 Mg
0.171 0.342 0.263 Mg
0.171 0.342 0.737 Mg
0.171 0.829 0.263 Mg
0.171 0.829 0.737 Mg
0.496 0.504 0.000 Mg
0.496 0.993 0.000 Mg
0.502 0.003 0.500 Mg
0.502 0.498 0.500 Mg
0.658 0.829 0.263 Mg
0.658 0.829 0.737 Mg
0.667 0.333 0.245 Mg
0.667 0.333 0.755 Mg
0.997 0.498 0.500 Mg
0.000 0.000 0.500 Cd
```

***

Result of the stability comparison: <A> is the most stable of them.

***

<A>
A relaxed structure of Li2MgCdP2. Source: Materials Project, functional GGA-PBE.

Structure (POSCAR):
```
Li2MgCdP2
1.0
4.296 0.000 0.000
0.000 4.296 0.000
0.000 0.000 6.064
Li Mg Cd P
2 1 1 2
direct
0.000 0.000 0.000 Li
0.500 0.500 0.500 Li
0.000 0.000 0.500 Mg
0.500 0.500 0.000 Cd
0.000 0.500 0.741 P
0.500 0.000 0.259 P
```

- Maximum piezoelectric response: 0.591 C/m2

***

<B>
A relaxed structure of Li2MgCdP2. Source: Materials Project, functional GGA-PBE.

Structure (POSCAR):
```
Li2MgCdP2
1.0
4.166 0.000 0.000
0.000 4.166 0.000
0.000 0.000 5.832
Li Mg Cd P
2 1 1 2
direct
0.000 0.500 0.246 Li
0.500 0.000 0.754 Li
0.000 0.000 0.500 Mg
0.500 0.500 0.000 Cd
0.000 0.000 0.000 P
0.500 0.500 0.500 P
```

***

Result of the stability comparison: <A> is the most stable of them.

***

<A>
A relaxed structure of LiCd4Tc4O12. Source: Materials Project, functional GGA-PBE.

Structure (POSCAR):
```
LiCd4Tc4O12
1.0
5.524 0.000 0.000
-0.002 5.609 0.000
-0.283 -0.155 7.937
Li Cd Tc O
1 4 4 12
direct
0.000 0.000 0.000 Li
0.362 0.445 0.682 Cd
0.382 0.349 0.175 Cd
0.841 0.818 0.232 Cd
0.882 0.950 0.669 Cd
0.362 0.897 0.433 Tc
0.399 0.902 0.928 Tc
0.866 0.390 0.436 Tc
0.876 0.421 0.931 Tc
0.066 0.694 0.490 O
0.077 0.715 0.873 O
0.163 0.189 0.496 O
0.186 0.212 0.882 O
0.256 0.937 0.178 O
0.482 0.861 0.680 O
0.558 0.590 0.378 O
0.583 0.611 0.985 O
0.660 0.097 0.380 O
0.685 0.114 0.992 O
0.766 0.362 0.681 O
0.979 0.435 0.188 O
```

***

<B>
A relaxed structure of LiCd4Tc4O12. Source: Materials Project, functional GGA-PBE.

Structure (POSCAR):
```
LiCd4Tc4O12
1.0
5.556 0.000 0.000
0.086 5.604 0.000
0.016 0.006 7.932
Li Cd Tc O
1 4 4 12
direct
0.000 0.000 0.000 Li
0.301 0.235 0.508 Cd
0.400 0.217 0.998 Cd
0.744 0.663 0.006 Cd
0.781 0.716 0.506 Cd
0.321 0.725 0.258 Tc
0.326 0.724 0.749 Tc
0.837 0.228 0.266 Tc
0.839 0.224 0.741 Tc
0.030 0.528 0.305 O
0.036 0.524 0.685 O
0.143 0.036 0.207 O
0.151 0.038 0.797 O
0.307 0.622 0.002 O
0.367 0.832 0.503 O
0.531 0.422 0.704 O
0.533 0.429 0.305 O
0.635 0.927 0.204 O
0.642 0.920 0.803 O
0.819 0.292 0.002 O
0.857 0.121 0.503 O
```

***

Result of the stability comparison: <A> is the most stable of them.

***

<A>
A relaxed structure of Li2CdPb. Source: Materials Project, functional GGA-PBE.

Structure (POSCAR):
```
Li2CdPb
1.0
0.000 3.437 3.437
3.437 0.000 3.437
3.437 3.437 0.000
Li Cd Pb
2 1 1
direct
0.250 0.250 0.250 Li
0.750 0.750 0.750 Li
0.000 0.000 0.000 Cd
0.500 0.500 0.500 Pb
```

***

<B>
A relaxed structure of Li2CdPb. Source: Materials Project, functional GGA-PBE.

Structure (POSCAR):
```
Li2CdPb
1.0
0.000 3.502 3.502
3.502 0.000 3.502
3.502 3.502 0.000
Li Cd Pb
2 1 1
direct
0.000 0.000 0.000 Li
0.250 0.250 0.250 Li
0.750 0.750 0.750 Cd
0.500 0.500 0.500 Pb
```

***

Result of the stability comparison: <A> is the most stable of them.

***

<A>
A relaxed structure of Mg14MnCd. Source: Materials Project, functional GGA-PBE.

Structure (POSCAR):
```
Mg14MnCd
1.0
10.200 0.000 0.000
0.000 3.150 5.458
0.000 -3.150 5.458
Mg Mn Cd
14 1 1
direct
0.000 0.000 0.000 Mg
0.000 0.000 0.501 Mg
0.000 0.500 0.500 Mg
0.000 0.501 0.000 Mg
0.251 0.167 0.167 Mg
0.254 0.664 0.664 Mg
0.257 0.172 0.665 Mg
0.257 0.665 0.172 Mg
0.500 0.501 0.997 Mg
0.500 0.997 0.501 Mg
0.743 0.172 0.665 Mg
0.743 0.665 0.172 Mg
0.746 0.664 0.664 Mg
0.749 0.167 0.167 Mg
0.500 0.502 0.502 Mn
0.500 0.000 0.000 Cd
```

***

<B>
A relaxed structure of Mg14MnCd. Source: Materials Project, functional GGA-PBE.

Structure (POSCAR):
```
Mg14MnCd
1.0
6.290 0.000 0.000
-3.145 5.448 0.000
0.000 0.000 9.930
Mg Mn Cd
14 1 1
direct
0.000 0.000 0.250 Mg
0.000 0.000 0.750 Mg
0.015 0.508 0.239 Mg
0.015 0.508 0.761 Mg
0.332 0.166 0.000 Mg
0.334 0.167 0.500 Mg
0.492 0.508 0.239 Mg
0.492 0.508 0.761 Mg
0.492 0.985 0.239 Mg
0.492 0.985 0.761 Mg
0.833 0.167 0.500 Mg
0.833 0.666 0.500 Mg
0.834 0.166 0.000 Mg
0.834 0.668 0.000 Mg
0.333 0.667 0.000 Mn
0.333 0.667 0.500 Cd
```

***

Result of the stability comparison: <A> is the most stable of them.

***

<A>
A relaxed structure of Mg6CdSnO8. Source: Materials Project, functional GGA-PBE.

Structure (POSCAR):
```
Mg6CdSnO8
1.0
4.518 0.000 0.000
0.000 4.518 0.000
0.000 0.000 9.037
Mg Cd Sn O
6 1 1 8
direct
0.000 0.000 0.000 Mg
0.000 0.000 0.500 Mg
0.000 0.500 0.243 Mg
0.000 0.500 0.757 Mg
0.500 0.000 0.243 Mg
0.500 0.000 0.757 Mg
0.500 0.500 0.000 Cd
0.500 0.500 0.500 Sn
0.000 0.000 0.251 O
0.000 0.000 0.749 O
0.000 0.500 0.000 O
0.000 0.500 0.500 O
0.500 0.000 0.000 O
0.500 0.000 0.500 O
0.500 0.500 0.248 O
0.500 0.500 0.752 O
```

***

<B>
A relaxed structure of Mg6CdSnO8. Source: Materials Project, functional GGA-PBE.

Structure (POSCAR):
```
Mg6CdSnO8
1.0
4.512 0.000 0.000
0.000 4.512 0.000
0.000 0.000 8.989
Mg Cd Sn O
6 1 1 8
direct
0.000 0.000 0.000 Mg
0.000 0.500 0.231 Mg
0.000 0.500 0.769 Mg
0.500 0.000 0.231 Mg
0.500 0.000 0.769 Mg
0.500 0.500 0.000 Mg
0.000 0.000 0.500 Cd
0.500 0.500 0.500 Sn
0.000 0.000 0.230 O
0.000 0.000 0.770 O
0.000 0.500 0.000 O
0.000 0.500 0.500 O
0.500 0.000 0.000 O
0.500 0.000 0.500 O
0.500 0.500 0.226 O
0.500 0.500 0.774 O
```

***

Result of the stability comparison: <B> is the most stable of them.

***

<A>
A relaxed structure of MgCd4Tc4O12. Source: Materials Project, functional GGA-PBE.

Structure (POSCAR):
```
MgCd4Tc4O12
1.0
5.534 0.000 0.000
0.000 7.991 0.000
-0.316 0.000 5.697
Mg Cd Tc O
1 4 4 12
direct
0.000 0.000 0.000 Mg
0.346 0.500 0.713 Cd
0.436 0.000 0.746 Cd
0.678 0.000 0.302 Cd
0.834 0.500 0.194 Cd
0.352 0.259 0.219 Tc
0.352 0.741 0.219 Tc
0.878 0.265 0.695 Tc
0.878 0.735 0.695 Tc
0.068 0.314 0.409 O
0.068 0.686 0.409 O
0.186 0.203 0.897 O
0.186 0.797 0.897 O
0.241 0.000 0.291 O
0.426 0.500 0.111 O
0.564 0.302 0.515 O
0.564 0.698 0.515 O
0.699 0.195 0.001 O
0.699 0.805 0.001 O
0.848 0.000 0.649 O
0.924 0.500 0.808 O
```

***

<B>
A relaxed structure of MgCd4Tc4O12. Source: Materials Project, functional GGA-PBE.

Structure (POSCAR):
```
MgCd4Tc4O12
1.0
5.564 0.000 0.000
-0.058 5.644 0.000
-0.055 -0.747 8.041
Mg Cd Tc O
1 4 4 12
direct
0.000 0.000 0.000 Mg
0.364 0.382 0.628 Cd
0.406 0.290 0.119 Cd
0.862 0.696 0.195 Cd
0.891 0.888 0.624 Cd
0.374 0.824 0.384 Tc
0.399 0.837 0.869 Tc
0.873 0.381 0.869 Tc
0.880 0.302 0.392 Tc
0.074 0.674 0.825 O
0.082 0.615 0.441 O
0.169 0.111 0.443 O
0.177 0.158 0.818 O
0.259 0.857 0.132 O
0.493 0.805 0.623 O
0.572 0.503 0.333 O
0.583 0.566 0.940 O
0.673 0.008 0.332 O
0.677 0.068 0.922 O
0.763 0.320 0.630 O
0.995 0.316 0.138 O
```

***

Result of the stability comparison: <B> is the most stable of them.